# CuMo6Se8

A relaxed CuMo6Se8 crystal (PBE, Materials Project).

Cell: 6.750 6.750 6.750 Å, 93.08 93.08 93.08°
Element x y z (fractional)
Cu (0.000, 0.000, 0.000)
Mo (0.774, 0.588, 0.454)
Mo (0.454, 0.774, 0.588)
Mo (0.588, 0.454, 0.774)
Mo (0.226, 0.412, 0.546)
Mo (0.546, 0.226, 0.412)
Mo (0.412, 0.546, 0.226)
Se (0.788, 0.788, 0.788)
Se (0.212, 0.212, 0.212)
Se (0.262, 0.622, 0.871)
Se (0.871, 0.262, 0.622)
Se (0.622, 0.871, 0.262)
Se (0.738, 0.378, 0.129)
Se (0.129, 0.738, 0.378)
Se (0.378, 0.129, 0.738)

Calculated values
- ΔH_f (0 K) (meV/atom) = -698
- spin magnetization (μB per cell) = 0.0
- calculated density (g/cm³) = 6.9

***

# Cu2Mo3Se4

A relaxed Cu2Mo3Se4 crystal (PBE, Materials Project).

Cell: 6.859 6.911 8.012 Å, 109.25 106.81 84.61°
Element x y z (fractional)
Cu (0.777, 0.963, 0.064)
Cu (0.223, 0.037, 0.936)
Cu (0.464, 0.712, 0.914)
Cu (0.536, 0.288, 0.086)
Mo (0.420, 0.279, 0.546)
Mo (0.494, 0.988, 0.258)
Mo (0.506, 0.012, 0.742)
Mo (0.221, 0.920, 0.413)
Mo (0.580, 0.721, 0.454)
Mo (0.779, 0.080, 0.587)
Se (0.162, 0.216, 0.704)
Se (0.310, 0.631, 0.133)
Se (0.706, 0.334, 0.406)
Se (0.690, 0.369, 0.867)
Se (0.137, 0.178, 0.229)
Se (0.838, 0.784, 0.296)
Se (0.863, 0.822, 0.771)
Se (0.294, 0.666, 0.594)

Calculated values
- ΔH_f (0 K) (meV/atom) = -583
- spin magnetization (μB per cell) = 0.0
- calculated density (g/cm³) = 7.1